{"formula": "NaU3O8", "functional": "r2SCAN", "state": "relaxed", "lattice": [[3.443, -5.964, 0.000], [3.443, 5.964, 0.000], [0.000, 0.000, 4.203]], "species": ["Na", "U", "U", "U", "O", "O", "O", "O", "O", "O", "O", "O"], "fractional_positions": [[0.000, 0.000, 0.500], [0.000, 0.360, 0.000], [0.640, 0.640, 0.000], [0.360, 0.000, 0.000], [0.655, 0.655, 0.500], [0.345, 0.000, 0.500], [0.000, 0.761, 0.000], [0.239, 0.239, 0.000], [0.761, 0.000, 0.000], [0.000, 0.345, 0.500], [0.667, 0.333, 0.000], [0.333, 0.667, 0.000]], "magmom_total_mub_per_fu": 3.00, "spacegroup": "P-62m (189)", "total_energy_ev_per_cell": -332.2}

{"formula": "Na5U5O18", "functional": "r2SCAN", "state": "relaxed", "lattice": [[9.833, 6.024, 0.016], [-9.833, 6.024, 0.016], [0.000, 1.297, 6.725]], "species": ["Na", "Na", "Na", "Na", "Na", "Na", "Na", "Na", "Na", "Na", "U", "U", "U", "U", "U", "U", "U", "U", "U", "U", "O", "O", "O", "O", "O", "O", "O", "O", "O", "O", "O", "O", "O", "O", "O", "O", "O", "O", "O", "O", "O", "O", "O", "O", "O", "O", "O", "O", "O", "O", "O", "O", "O", "O", "O", "O"], "fractional_positions": [[0.553, 0.449, 0.753], [0.449, 0.553, 0.253], [0.059, 0.942, 0.252], [0.942, 0.059, 0.752], [0.148, 0.852, 0.753], [0.852, 0.148, 0.253], [0.252, 0.752, 0.253], [0.752, 0.252, 0.753], [0.645, 0.357, 0.253], [0.357, 0.645, 0.753], [0.908, 0.602, 0.529], [0.399, 0.094, 0.974], [0.094, 0.399, 0.474], [0.602, 0.908, 0.029], [0.001, 0.501, 0.002], [0.501, 0.001, 0.502], [0.794, 0.707, 0.990], [0.294, 0.207, 0.513], [0.207, 0.294, 0.013], [0.707, 0.794, 0.490], [0.782, 0.683, 0.670], [0.318, 0.219, 0.834], [0.219, 0.318, 0.334], [0.683, 0.782, 0.170], [0.752, 0.443, 0.570], [0.558, 0.249, 0.932], [0.249, 0.558, 0.432], [0.443, 0.752, 0.070], [0.644, 0.541, 0.050], [0.460, 0.357, 0.454], [0.357, 0.460, 0.954], [0.541, 0.644, 0.550], [0.066, 0.762, 0.477], [0.240, 0.935, 0.027], [0.935, 0.240, 0.527], [0.762, 0.066, 0.977], [0.843, 0.683, 0.286], [0.319, 0.159, 0.218], [0.159, 0.319, 0.718], [0.683, 0.843, 0.786], [0.925, 0.626, 0.880], [0.376, 0.077, 0.623], [0.077, 0.376, 0.123], [0.626, 0.925, 0.380], [0.943, 0.872, 0.930], [0.129, 0.058, 0.574], [0.058, 0.129, 0.074], [0.872, 0.943, 0.430], [0.171, 0.645, 0.938], [0.357, 0.830, 0.565], [0.830, 0.357, 0.065], [0.645, 0.171, 0.438], [0.999, 0.472, 0.692], [0.529, 0.002, 0.812], [0.002, 0.529, 0.312], [0.472, 0.999, 0.192]], "magmom_total_mub_per_fu": 0.00, "spacegroup": "Cc (9)", "total_energy_ev_per_cell": -1218.2}

{"formula": "Na3UO4", "functional": "r2SCAN", "state": "relaxed", "lattice": [[-0.886, 6.626, -0.139], [-2.097, 2.944, -5.625], [-6.348, 2.783, -0.466]], "species": ["Na", "Na", "Na", "Na", "Na", "Na", "U", "U", "O", "O", "O", "O", "O", "O", "O", "O"], "fractional_positions": [[0.000, 0.500, 0.000], [0.500, 0.000, 0.000], [0.500, 0.500, 0.000], [0.500, 0.000, 0.500], [0.500, 0.500, 0.500], [0.000, 0.500, 0.500], [0.000, 0.000, 0.000], [0.000, 0.000, 0.500], [0.218, 0.218, 0.282], [0.216, 0.784, 0.250], [0.218, 0.218, 0.782], [0.216, 0.784, 0.750], [0.784, 0.216, 0.250], [0.782, 0.782, 0.218], [0.784, 0.216, 0.750], [0.782, 0.782, 0.718]], "magmom_total_mub_per_fu": 1.00, "total_energy_ev_per_cell": -271.8}

{"formula": "NaUO3", "functional": "r2SCAN", "state": "relaxed", "lattice": [[5.745, 0.000, 0.000], [0.000, 5.906, 0.000], [0.000, 0.000, 8.261]], "species": ["Na", "Na", "Na", "Na", "U", "U", "U", "U", "O", "O", "O", "O", "O", "O", "O", "O", "O", "O", "O", "O"], "fractional_positions": [[0.508, 0.536, 0.250], [0.008, 0.964, 0.750], [0.992, 0.036, 0.250], [0.492, 0.464, 0.750], [0.000, 0.500, 0.000], [0.500, 0.000, 0.000], [0.500, 0.000, 0.500], [0.000, 0.500, 0.500], [0.696, 0.300, 0.447], [0.196, 0.200, 0.553], [0.804, 0.800, 0.053], [0.304, 0.700, 0.947], [0.304, 0.700, 0.553], [0.804, 0.800, 0.447], [0.196, 0.200, 0.947], [0.696, 0.300, 0.053], [0.101, 0.463, 0.250], [0.601, 0.037, 0.750], [0.399, 0.963, 0.250], [0.899, 0.537, 0.750]], "magmom_total_mub_per_fu": 1.00, "spacegroup": "Pnma (62)", "total_energy_ev_per_cell": -469.7}

{"formula": "NaV2O4", "functional": "r2SCAN", "state": "relaxed", "lattice": [[2.873, 0.000, 0.000], [0.000, 9.157, 0.000], [0.000, 0.000, 10.642]], "species": ["Na", "Na", "Na", "Na", "V", "V", "V", "V", "V", "V", "V", "V", "O", "O", "O", "O", "O", "O", "O", "O", "O", "O", "O", "O", "O", "O", "O", "O"], "fractional_positions": [[0.750, 0.257, 0.848], [0.750, 0.757, 0.652], [0.250, 0.243, 0.348], [0.250, 0.743, 0.152], [0.250, 0.063, 0.114], [0.750, 0.437, 0.614], [0.750, 0.915, 0.396], [0.250, 0.585, 0.896], [0.250, 0.563, 0.386], [0.750, 0.937, 0.886], [0.250, 0.085, 0.604], [0.750, 0.415, 0.104], [0.250, 0.480, 0.218], [0.250, 0.980, 0.282], [0.750, 0.020, 0.718], [0.750, 0.520, 0.782], [0.750, 0.422, 0.429], [0.250, 0.577, 0.571], [0.250, 0.078, 0.929], [0.750, 0.923, 0.071], [0.750, 0.112, 0.480], [0.250, 0.888, 0.520], [0.250, 0.388, 0.980], [0.750, 0.612, 0.020], [0.750, 0.708, 0.352], [0.250, 0.292, 0.648], [0.250, 0.792, 0.852], [0.750, 0.208, 0.148]], "magmom_total_mub_per_fu": 3.00, "de_polymorph_mev_per_atom": 0, "spacegroup": "Pnma (62)"}

{"formula": "Na3VO4", "functional": "r2SCAN", "state": "relaxed", "lattice": [[7.021, 0.000, 0.000], [0.000, 6.064, 0.001], [0.000, 0.000, 5.500]], "species": ["Na", "Na", "Na", "Na", "Na", "Na", "V", "V", "O", "O", "O", "O", "O", "O", "O", "O"], "fractional_positions": [[0.000, 0.156, 0.487], [0.245, 0.326, 0.990], [0.255, 0.674, 0.490], [0.500, 0.844, 0.988], [0.745, 0.674, 0.490], [0.755, 0.326, 0.990], [0.000, 0.824, 0.001], [0.500, 0.176, 0.501], [0.000, 0.094, 0.902], [0.000, 0.820, 0.312], [0.203, 0.689, 0.901], [0.297, 0.311, 0.401], [0.500, 0.179, 0.813], [0.500, 0.906, 0.403], [0.703, 0.311, 0.401], [0.797, 0.689, 0.901]], "magmom_total_mub_per_fu": 0.00, "spacegroup": "Pmn2_1 (31)", "total_energy_ev_per_cell": -134.8}

{"formula": "NaV2O5", "functional": "r2SCAN", "state": "relaxed", "lattice": [[1.362, -2.551, -2.140], [-4.347, -1.879, -0.527], [-1.763, 6.599, -8.988]], "species": ["Na", "Na", "V", "V", "V", "V", "O", "O", "O", "O", "O", "O", "O", "O", "O", "O"], "fractional_positions": [[0.000, 0.862, 0.000], [0.500, 0.140, 0.500], [0.500, 0.391, 0.151], [0.000, 0.611, 0.349], [0.500, 0.391, 0.849], [0.000, 0.611, 0.651], [0.500, 0.519, 0.000], [0.000, 0.483, 0.500], [0.000, 0.513, 0.822], [0.000, 0.513, 0.179], [0.500, 0.489, 0.679], [0.500, 0.489, 0.321], [0.500, 0.052, 0.866], [0.500, 0.052, 0.134], [0.000, 0.950, 0.634], [0.000, 0.950, 0.366]], "magmom_total_mub_per_fu": 1.00, "spacegroup": "Pmmn (59)", "total_energy_ev_per_cell": -163.8}

{"formula": "NaVO3", "functional": "r2SCAN", "state": "relaxed", "lattice": [[-2.364, 2.669, -0.459], [-3.996, -3.331, 1.214], [1.273, 3.504, 13.806]], "species": ["Na", "Na", "Na", "Na", "V", "V", "V", "V", "O", "O", "O", "O", "O", "O", "O", "O", "O", "O", "O", "O"], "fractional_positions": [[0.250, 0.887, 0.327], [0.750, 0.113, 0.673], [0.750, 0.387, 0.173], [0.250, 0.613, 0.827], [0.750, 0.072, 0.914], [0.250, 0.928, 0.086], [0.250, 0.572, 0.586], [0.750, 0.428, 0.414], [0.250, 0.407, 0.685], [0.750, 0.128, 0.388], [0.250, 0.502, 0.448], [0.750, 0.498, 0.552], [0.750, 0.372, 0.888], [0.750, 0.002, 0.052], [0.750, 0.593, 0.315], [0.750, 0.907, 0.815], [0.250, 0.872, 0.612], [0.250, 0.628, 0.112], [0.250, 0.093, 0.185], [0.250, 0.998, 0.948]], "magmom_total_mub_per_fu": 0.00, "spacegroup": "Pnma (62)", "total_energy_ev_per_cell": -191.7}

{"formula": "NaV2O4", "functional": "r2SCAN", "state": "relaxed", "lattice": [[5.019, 0.000, 0.000], [0.000, 5.783, 0.000], [0.000, 0.000, 11.292]], "species": ["Na", "Na", "Na", "Na", "V", "V", "V", "V", "V", "V", "V", "V", "O", "O", "O", "O", "O", "O", "O", "O", "O", "O", "O", "O", "O", "O", "O", "O"], "fractional_positions": [[0.030, 0.750, 0.250], [0.970, 0.250, 0.750], [0.351, 0.750, 0.750], [0.649, 0.250, 0.250], [0.007, 0.250, 0.492], [0.993, 0.750, 0.508], [0.500, 0.000, 0.500], [0.500, 0.500, 0.500], [0.007, 0.250, 0.008], [0.993, 0.750, 0.992], [0.500, 0.500, 0.000], [0.500, 0.000, 0.000], [0.343, 0.250, 0.095], [0.343, 0.250, 0.405], [0.657, 0.750, 0.595], [0.657, 0.750, 0.905], [0.324, 0.750, 0.088], [0.324, 0.750, 0.412], [0.676, 0.250, 0.588], [0.676, 0.250, 0.912], [0.168, 0.002, 0.595], [0.168, 0.002, 0.905], [0.168, 0.498, 0.595], [0.168, 0.498, 0.905], [0.832, 0.998, 0.405], [0.832, 0.502, 0.405], [0.832, 0.998, 0.095], [0.832, 0.502, 0.095]], "magmom_total_mub_per_fu": 3.00, "de_polymorph_mev_per_atom": 52, "spacegroup": "Pmmn (59)"}

{"formula": "NaV3O8", "functional": "r2SCAN", "state": "relaxed", "lattice": [[3.568, 0.000, 0.000], [0.000, 7.217, 0.036], [0.000, 3.513, 11.563]], "species": ["Na", "Na", "V", "V", "V", "V", "V", "V", "O", "O", "O", "O", "O", "O", "O", "O", "O", "O", "O", "O", "O", "O", "O", "O"], "fractional_positions": [[0.750, 0.177, 0.322], [0.250, 0.823, 0.678], [0.250, 0.115, 0.080], [0.250, 0.315, 0.543], [0.250, 0.266, 0.810], [0.750, 0.734, 0.190], [0.750, 0.685, 0.457], [0.750, 0.885, 0.920], [0.750, 0.043, 0.071], [0.250, 0.212, 0.185], [0.250, 0.189, 0.452], [0.250, 0.148, 0.679], [0.750, 0.182, 0.827], [0.750, 0.515, 0.276], [0.750, 0.400, 0.542], [0.750, 0.690, 0.048], [0.250, 0.310, 0.952], [0.250, 0.600, 0.458], [0.250, 0.485, 0.724], [0.250, 0.818, 0.173], [0.750, 0.852, 0.321], [0.750, 0.811, 0.548], [0.750, 0.788, 0.815], [0.250, 0.957, 0.929]], "magmom_total_mub_per_fu": 0.00, "spacegroup": "P2_1/m (11)", "total_energy_ev_per_cell": -246.5}

{"formula": "Na3VO4", "functional": "r2SCAN", "state": "relaxed", "lattice": [[-2.495, 2.495, 4.703], [2.495, -2.495, 4.703], [2.495, 2.495, -4.703]], "species": ["Na", "Na", "Na", "V", "O", "O", "O", "O"], "fractional_positions": [[0.500, 0.500, 0.000], [0.750, 0.250, 0.500], [0.250, 0.750, 0.500], [0.000, 0.000, 0.000], [0.694, 0.096, 0.000], [0.306, 0.306, 0.401], [0.904, 0.904, 0.599], [0.096, 0.694, 0.000]], "magmom_total_mub_per_fu": 0.00, "spacegroup": "I-42m (121)", "total_energy_ev_per_cell": -67.2}

{"formula": "NaVO3", "functional": "r2SCAN", "state": "relaxed", "lattice": [[-4.697, 3.554, 0.140], [-5.567, -4.373, 0.447], [-1.323, 0.980, 6.900]], "species": ["Na", "Na", "Na", "Na", "V", "V", "V", "V", "O", "O", "O", "O", "O", "O", "O", "O", "O", "O", "O", "O"], "fractional_positions": [[0.749, 0.913, 0.087], [0.249, 0.087, 0.913], [0.749, 0.283, 0.718], [0.249, 0.718, 0.283], [0.731, 0.383, 0.203], [0.231, 0.203, 0.383], [0.767, 0.798, 0.618], [0.267, 0.618, 0.798], [0.553, 0.649, 0.645], [0.053, 0.645, 0.649], [0.825, 0.894, 0.392], [0.325, 0.392, 0.894], [0.664, 0.974, 0.773], [0.164, 0.773, 0.974], [0.834, 0.227, 0.027], [0.334, 0.027, 0.227], [0.672, 0.609, 0.107], [0.172, 0.107, 0.609], [0.946, 0.356, 0.352], [0.446, 0.352, 0.356]], "magmom_total_mub_per_fu": 0.00, "spacegroup": "C2/c (15)", "total_energy_ev_per_cell": -191.8}

{"formula": "NaV2O5", "functional": "r2SCAN", "state": "relaxed", "lattice": [[3.619, 0.000, 0.000], [0.000, 9.749, 0.000], [0.000, 0.000, 11.836]], "species": ["Na", "Na", "Na", "Na", "V", "V", "V", "V", "V", "V", "V", "V", "O", "O", "O", "O", "O", "O", "O", "O", "O", "O", "O", "O", "O", "O", "O", "O", "O", "O", "O", "O"], "fractional_positions": [[0.250, 0.154, 0.730], [0.750, 0.346, 0.230], [0.250, 0.654, 0.770], [0.750, 0.846, 0.270], [0.250, 0.066, 0.089], [0.750, 0.126, 0.501], [0.250, 0.374, 0.001], [0.750, 0.434, 0.589], [0.250, 0.566, 0.411], [0.750, 0.626, 0.999], [0.250, 0.874, 0.499], [0.750, 0.934, 0.911], [0.750, 0.015, 0.790], [0.750, 0.063, 0.038], [0.250, 0.070, 0.537], [0.750, 0.215, 0.386], [0.250, 0.247, 0.117], [0.750, 0.253, 0.617], [0.250, 0.285, 0.886], [0.750, 0.430, 0.037], [0.250, 0.437, 0.538], [0.250, 0.485, 0.290], [0.750, 0.515, 0.710], [0.750, 0.563, 0.462], [0.250, 0.570, 0.963], [0.750, 0.715, 0.114], [0.250, 0.747, 0.383], [0.750, 0.753, 0.883], [0.250, 0.785, 0.614], [0.750, 0.930, 0.463], [0.250, 0.937, 0.962], [0.250, 0.985, 0.210]], "magmom_total_mub_per_fu": 1.00, "spacegroup": "Pnma (62)", "total_energy_ev_per_cell": -327.7}

{"formula": "NaW3O9", "functional": "r2SCAN", "state": "relaxed", "lattice": [[-5.175, -1.591, -0.090], [3.449, -1.789, -3.772], [1.526, -5.182, 3.853]], "species": ["Na", "W", "W", "W", "O", "O", "O", "O", "O", "O", "O", "O", "O"], "fractional_positions": [[0.000, 0.000, 0.000], [0.000, 0.000, 0.500], [0.667, 0.333, 0.830], [0.333, 0.667, 0.170], [0.835, 0.165, 0.670], [0.500, 0.500, 0.000], [0.165, 0.835, 0.330], [0.670, 0.835, 0.330], [0.330, 0.165, 0.670], [0.000, 0.500, 0.000], [0.835, 0.670, 0.670], [0.500, 0.000, 0.000], [0.165, 0.330, 0.330]], "magmom_total_mub_per_fu": 0.00, "spacegroup": "P-3m1 (164)", "total_energy_ev_per_cell": -241.5}